## Tb5Mg (PBE)

Data for a relaxed Tb5Mg crystal.

The structure in POSCAR format:
```
Tb5Mg
1.0
5.869 -3.081 0.000
5.869 3.081 0.000
4.252 0.000 5.085
Tb Mg
5 1
direct
0.660 0.340 0.000 Tb
0.000 0.660 0.340 Tb
0.340 0.000 0.660 Tb
0.832 0.832 0.832 Tb
0.168 0.168 0.168 Tb
0.500 0.500 0.500 Mg
```

Its symmetry is R32, No. 155. For the offset from the most stable computed form, the calculation gives 0.0 meV/atom.

## TiAgHg2 (PBE)

Data for a relaxed TiAgHg2 crystal.

The structure in POSCAR format:
```
TiAgHg2
1.0
0.125 -3.757 1.788
-4.386 -0.023 0.256
-0.221 -1.891 -3.959
Ti Ag Hg
1 1 2
direct
0.000 0.500 0.500 Ti
0.000 0.000 0.000 Ag
0.500 0.500 0.000 Hg
0.500 0.000 0.500 Hg
```

The size of the total moment comes out at 1.7 Bohr magnetons per cell. Its symmetry is P4/mmm, No. 123.

## La5Si3N9 (PBE)

Data for a relaxed La5Si3N9 crystal.

The structure in POSCAR format:
```
La5Si3N9
1.0
-6.904 -1.904 -3.208
-0.162 -5.930 5.137
-7.539 9.417 10.635
La Si N
20 12 36
direct
0.535 0.046 0.369 La
0.519 0.481 0.162 La
0.503 0.497 0.614 La
0.792 0.792 0.500 La
0.965 0.454 0.869 La
0.497 0.503 0.386 La
0.003 0.997 0.886 La
0.046 0.535 0.631 La
0.954 0.465 0.369 La
0.019 0.981 0.338 La
0.454 0.965 0.131 La
0.481 0.519 0.838 La
0.546 0.035 0.869 La
0.708 0.708 0.000 La
0.292 0.292 0.000 La
0.981 0.019 0.662 La
0.465 0.954 0.631 La
0.208 0.208 0.500 La
0.035 0.546 0.131 La
0.997 0.003 0.114 La
0.738 0.262 0.517 Si
0.762 0.238 0.017 Si
0.279 0.721 0.274 Si
0.262 0.738 0.483 Si
0.779 0.221 0.226 Si
0.716 0.784 0.250 Si
0.238 0.762 0.983 Si
0.721 0.279 0.726 Si
0.221 0.779 0.774 Si
0.784 0.716 0.750 Si
0.216 0.284 0.250 Si
0.284 0.216 0.750 Si
0.504 0.246 0.743 N
0.269 0.731 0.876 N
0.996 0.254 0.243 N
0.231 0.769 0.376 N
0.246 0.504 0.257 N
0.769 0.231 0.624 N
0.663 0.337 0.295 N
0.775 0.700 0.154 N
0.515 0.222 0.500 N
0.636 0.364 0.955 N
0.200 0.275 0.654 N
0.300 0.225 0.154 N
0.136 0.864 0.545 N
0.800 0.725 0.346 N
0.225 0.300 0.846 N
0.496 0.754 0.257 N
0.837 0.163 0.795 N
0.700 0.775 0.846 N
0.163 0.837 0.205 N
0.485 0.778 0.500 N
0.754 0.496 0.743 N
0.004 0.746 0.757 N
0.275 0.200 0.346 N
0.778 0.485 0.500 N
0.015 0.722 0.000 N
0.746 0.004 0.243 N
0.722 0.015 0.000 N
0.254 0.996 0.757 N
0.278 0.985 0.000 N
0.364 0.636 0.045 N
0.725 0.800 0.654 N
0.222 0.515 0.500 N
0.731 0.269 0.124 N
0.985 0.278 0.000 N
0.337 0.663 0.705 N
0.864 0.136 0.455 N
```

Its symmetry is Cmce, No. 64.

## HCl (PBE)

Data for a relaxed HCl crystal.

The structure in POSCAR format:
```
HCl
1.0
-2.125 2.172 2.874
2.125 -2.172 2.874
2.125 2.172 -2.874
H Cl
1 1
direct
0.313 0.000 0.313 H
0.019 0.000 0.019 Cl
```

The size of the total moment comes out at 0.0 Bohr magnetons per cell. The value obtained for the largest piezoelectric modulus is 0.2 C/m². Its symmetry is Imm2, No. 44.

## AlVCrC (PBE)

Data for a relaxed AlVCrC crystal.

The structure in POSCAR format:
```
AlVCrC
1.0
-2.141 -0.222 -1.915
2.022 -2.047 0.144
-7.078 -6.382 8.649
Al V Cr C
2 2 2 2
direct
0.333 0.667 0.743 Al
0.667 0.333 0.257 Al
0.667 0.333 0.912 V
0.333 0.667 0.088 V
0.333 0.667 0.418 Cr
0.667 0.333 0.582 Cr
0.000 0.000 0.500 C
0.000 0.000 0.000 C
```

The size of the total moment comes out at 0.0 Bohr magnetons per cell. Its symmetry is P-3m1, No. 164.

## DyN (PBE)

Data for a relaxed DyN crystal.

The structure in POSCAR format:
```
DyN
1.0
0.000 2.456 2.456
2.456 0.000 2.456
2.456 2.456 0.000
Dy N
1 1
direct
0.000 0.000 0.000 Dy
0.500 0.500 0.500 N
```

Its symmetry is Fm-3m, No. 225.

Number 1: ΔH_f (0 K) 0.02 eV per atom. Number 2: ΔH_f (0 K) 0.11 eV per atom. Number 3: ΔH_f (0 K) -1.56 eV per atom. Number 4: ΔH_f (0 K) -0.76 eV per atom. Number 5: ΔH_f (0 K) -0.34 eV per atom. Number 6: ΔH_f (0 K) -1.88 eV per atom.